# 1
Below is crystalline BaIn2Sb4 at its relaxed geometry, with properties calculated at the GGA-PBE level.

abc: 10.441 4.587 19.872
angles: 90.00 90.00 90.00
Space group Pnma (No. 62)
Inequivalent atoms, fractional coordinates:
Ba 0.248 0.250 0.045 x4
In 0.123 0.750 0.230 x4
In 0.150 0.750 0.864 x4
Sb 0.001 0.750 0.098 x4
Sb 0.022 0.250 0.642 x4
Sb 0.102 0.250 0.429 x4
Sb 0.206 0.750 0.725 x4

Values from the calculation:
**Formation energy from the elements**: -0.46 eV per atom

# 2
Below is crystalline Ti3Al5 at its relaxed geometry, with properties calculated at the GGA-PBE level.

abc: 3.922 4.030 8.116
angles: 90.00 90.00 90.00
Space group Pmmm (No. 47)
Inequivalent atoms, fractional coordinates:
Ti 0.000 0.000 0.000 x1
Ti 0.500 0.000 0.265 x2
Al 0.000 0.000 0.500 x1
Al 0.000 0.500 0.242 x2
Al 0.500 0.500 0.000 x1
Al 0.500 0.500 0.500 x1

Values from the calculation:
**Formation energy from the elements**: -0.41 eV per atom

# 3
Below is crystalline TbU3Co8Ge8 at its relaxed geometry, with properties calculated at the GGA-PBE level.

abc: 4.017 4.017 19.678
angles: 90.00 90.00 90.00
Space group P4/mmm (No. 123)
Inequivalent atoms, fractional coordinates:
Tb 0.000 0.000 0.000 x1
U 0.000 0.000 0.500 x1
U 0.500 0.500 0.251 x2
Co 0.000 0.500 0.127 x4
Co 0.000 0.500 0.375 x4
Ge 0.000 0.000 0.186 x2
Ge 0.000 0.000 0.314 x2
Ge 0.500 0.500 0.065 x2
Ge 0.500 0.500 0.436 x2

Values from the calculation:
**Formation energy from the elements**: -0.49 eV per atom

# 4
Below is crystalline K2SbAuCl6 at its relaxed geometry, with properties calculated at the GGA-PBE level.

abc: 10.701 10.701 10.701
angles: 90.00 90.00 90.00
Space group Fm-3m (No. 225)
Inequivalent atoms, fractional coordinates:
K 0.250 0.250 0.250 x8
Sb 0.000 0.000 0.000 x4
Au 0.000 0.000 0.500 x4
Cl 0.000 0.000 0.248 x24

Values from the calculation:
**Formation energy from the elements**: -1.46 eV per atom

# 5
Below is crystalline UBrO5 at its relaxed geometry, with properties calculated at the GGA-PBE level.

abc: 9.361 6.175 10.808
angles: 90.00 103.32 90.00
Space group P2_1/c (No. 14)
Inequivalent atoms, fractional coordinates:
U 0.156 0.128 0.081 x4
Br 0.323 0.596 0.909 x4
O 0.020 0.645 0.583 x4
O 0.058 0.209 0.674 x4
O 0.267 0.051 0.525 x4
O 0.277 0.528 0.501 x4
O 0.337 0.062 0.280 x4

Values from the calculation:
**Formation energy from the elements**: -1.98 eV per atom

# 6
Below is crystalline CeAl8Fe4 at its relaxed geometry, with properties calculated at the GGA-PBE level.

abc: 8.757 8.757 5.023
angles: 90.00 90.00 90.00
Space group I4/mmm (No. 139)
Inequivalent atoms, fractional coordinates:
Ce 0.000 0.000 0.000 x2
Al 0.000 0.222 0.500 x8
Al 0.000 0.343 0.000 x8
Fe 0.250 0.250 0.250 x8

Values from the calculation:
**Formation energy from the elements**: -0.41 eV per atom

# 7
Below is crystalline KHI2F12 at its relaxed geometry, with properties calculated at the GGA-PBE level.

abc: 9.930 9.930 10.698
angles: 90.00 90.00 90.00
Space group I4/mcm (No. 140)
Inequivalent atoms, fractional coordinates:
K 0.000 0.000 0.250 x4
H 0.000 0.500 0.250 x4
I 0.160 0.340 0.000 x8
F 0.000 0.500 0.141 x8
F 0.084 0.220 0.125 x32
F 0.207 0.293 0.500 x8

Values from the calculation:
**Formation energy from the elements**: -2.13 eV per atom

# 8
Below is crystalline LaOF at its relaxed geometry, with properties calculated at the GGA-PBE level.

abc: 4.0617 4.0617 20.3631
angles: 90.00 90.00 120.00
Space group R-3m (No. 166, hexagonal axes)
Inequivalent atoms, fractional coordinates:
La 0.0000 0.0000 0.2413 x6
O 0.0000 0.0000 0.1233 x6
F 0.0000 0.0000 0.3712 x6

Values from the calculation:
**Formation energy from the elements**: -4.25 eV per atom

# 9
Below is crystalline CaRhN2 at its relaxed geometry, with properties calculated at the GGA-PBE level.

abc: 5.059 10.133 17.223
angles: 90.00 90.00 90.00
Space group Pbca (No. 61)
Inequivalent atoms, fractional coordinates:
Ca 0.243 0.008 0.062 x8
Ca 0.248 0.746 0.688 x8
Rh 0.191 0.524 0.811 x8
Rh 0.192 0.221 0.435 x8
N 0.180 0.749 0.545 x8
N 0.191 0.510 0.204 x8
N 0.224 0.716 0.830 x8
N 0.249 0.032 0.422 x8

Values from the calculation:
**Energy relative to the lowest polymorph listed for this composition**: 0.113 eV/atom
**Formation energy from the elements**: -0.26 eV per atom

# 10
Below is crystalline Sr2GaSb2O7 at its relaxed geometry, with properties calculated at the GGA-PBE level.

abc: 22.240 5.857 6.046
angles: 90.00 105.34 90.00
Space group C2 (No. 5)
Inequivalent atoms, fractional coordinates:
Sr 0.151 0.000 0.126 x4
Sr 0.151 0.498 0.677 x4
Ga 0.250 0.462 0.338 x4
Sb 0.073 0.003 0.572 x4
Sb 0.073 0.502 0.079 x4
O 0.078 0.246 0.827 x4
O 0.079 0.756 0.818 x4
O 0.092 0.247 0.350 x4
O 0.093 0.761 0.353 x4
O 0.175 0.021 0.734 x4
O 0.175 0.516 0.119 x4
O 0.250 0.142 0.401 x4

Values from the calculation:
**Formation energy from the elements**: -2.35 eV per atom

# 11
Below is crystalline ErNiGe at its relaxed geometry, with properties calculated at the GGA-PBE level.

abc: 6.837 4.211 7.263
angles: 90.00 90.00 90.00
Space group Pnma (No. 62)
Inequivalent atoms, fractional coordinates:
Er 0.008 0.250 0.206 x4
Ni 0.193 0.750 0.417 x4
Ge 0.197 0.250 0.588 x4

Values from the calculation:
**Formation energy from the elements**: -0.81 eV per atom

# 12
Below is crystalline Ti2PbC at its relaxed geometry, with properties calculated at the GGA-PBE level.

abc: 3.2266 3.2266 14.0604
angles: 90.00 90.00 120.00
Space group P6_3/mmc (No. 194)
Inequivalent atoms, fractional coordinates:
Ti 0.3333 0.6667 0.0768 x4
Pb 0.3333 0.6667 0.7500 x2
C 0.0000 0.0000 0.0000 x2

Values from the calculation:
**Formation energy from the elements**: -0.57 eV per atom